DFT (PBE with a Hubbard U) results for crystalline Mn2FeReO6 at its relaxed geometry.

POSCAR file:
```
Mn2FeReO6
1.0
5.317 0.000 0.000
0.000 5.406 0.000
-0.005 0.000 7.860
Mn Fe Re O
4 2 2 12
direct
0.242 0.000 0.009
0.250 0.905 0.492
0.750 0.405 0.508
0.758 0.500 0.991
0.251 0.451 0.251
0.749 0.951 0.749
0.253 0.451 0.750
0.747 0.951 0.250
0.056 0.767 0.192
0.090 0.745 0.824
0.131 0.523 0.518
0.374 0.381 0.982
0.410 0.152 0.674
0.432 0.124 0.303
0.568 0.624 0.697
0.590 0.652 0.326
0.626 0.881 0.018
0.869 0.023 0.482
0.910 0.245 0.176
0.944 0.267 0.808
```

**ΔE_f**: -1.90 eV per atom
**Volume**: 226 Å³/cell
**M_tot**: 10.00 μB per cell
**Mass density**: 6.58 g/cm3